Compound: LiZnCo4O8
Source: Materials Project
Functional: GGA+U
Structure: relaxed

a b c (Å): 7.004 7.004 8.748
angles (deg): 118.76 118.76 23.89
Fractional coordinates of all 14 atoms:
1 Li 0.000 0.000 0.000
2 Zn 0.422 0.422 0.220
3 Co 0.185 0.185 0.240
4 Co 0.317 0.317 0.821
5 Co 0.643 0.643 0.847
6 Co 0.890 0.890 0.548
7 O 0.140 0.140 0.990
8 O 0.167 0.167 0.725
9 O 0.282 0.282 0.472
10 O 0.489 0.489 0.629
11 O 0.575 0.575 0.197
12 O 0.853 0.853 0.004
13 O 0.867 0.867 0.317
14 O 0.884 0.884 0.755

Output
Magnetic moment, Bohr magnetons per cell: 10.997
Energy relative to the lowest polymorph listed for this composition, kJ per mole of atoms: 7.4
E (MP2020), eV per atom: -6.28
Energy of formation from the pure elements, eV/atom: -1.20